# Tb4BBr6

A geometry-optimized Tb4BBr6 structure (PBE, the Materials Project).

Properties
The space-group type is No. 15. For the formation energy, the calculation gives -1.82 eV per atom.

```
Tb4BBr6
1.0
0.876 -9.219 -5.585
4.603 -8.358 5.090
-10.886 -4.962 4.201
Tb B Br
16 4 24
Direct
0.711 0.470 0.192
0.530 0.289 0.308
0.289 0.530 0.808
0.470 0.711 0.692
0.783 0.544 0.455
0.456 0.217 0.045
0.217 0.456 0.545
0.544 0.783 0.955
0.582 0.359 0.588
0.641 0.418 0.912
0.418 0.641 0.412
0.359 0.582 0.088
0.116 0.811 0.604
0.189 0.884 0.896
0.884 0.189 0.396
0.811 0.116 0.104
0.661 0.412 0.395
0.588 0.339 0.105
0.339 0.588 0.605
0.412 0.661 0.895
0.144 0.379 0.747
0.621 0.856 0.753
0.856 0.621 0.253
0.379 0.144 0.247
0.158 0.914 0.397
0.086 0.842 0.103
0.842 0.086 0.603
0.914 0.158 0.897
0.052 0.308 0.466
0.692 0.948 0.034
0.948 0.692 0.534
0.308 0.052 0.966
0.983 0.225 0.181
0.775 0.017 0.319
0.017 0.775 0.819
0.225 0.983 0.681
0.469 0.747 0.185
0.253 0.531 0.315
0.531 0.253 0.815
0.747 0.469 0.685
0.806 0.545 0.975
0.455 0.194 0.525
0.194 0.455 0.025
0.545 0.806 0.475
```